1.
DFT (r²SCAN) results for a relaxed TlIn5S6 crystal.

a b c (Å): 3.9469 8.8510 17.7422
angles (deg): 85.01 90.00 90.00
Closest atoms and distances in Å follow each position.
Atoms (fractional coordinates):
S: 0.2500 0.4047 0.0740  3 In 2.53-2.81
S: 0.2500 0.8368 0.4951  3 In 2.53-2.64
S: 0.7500 0.5343 0.4133  4 In 2.58-2.66
S: 0.2500 0.2030 0.3324  3 In 2.59-2.60
S: 0.2500 0.9464 0.8695  2 In 2.50
Tl: 0.7500 0.3754 0.2153  7 S 3.16-3.50
S: 0.2500 0.6963 0.2348  3 In 2.54-2.62
In: 0.7500 0.1132 0.8866  3 S 2.50-2.62
In: 0.2500 0.6953 0.9956  3 S 2.53-2.81, 1 In 2.80
In: 0.2500 0.8868 0.1134  3 S 2.50-2.62
In: 0.2500 0.3430 0.4554  6 S 2.60-2.66
In: 0.7500 0.6570 0.5446  6 S 2.60-2.66
In: 0.7500 0.0345 0.3831  3 S 2.53-2.59, 1 In 2.75
S: 0.7500 0.7970 0.6676  3 In 2.59-2.60
In: 0.7500 0.7670 0.3148  3 S 2.54-2.58, 1 In 2.75
In: 0.2500 0.9655 0.6169  3 S 2.53-2.59, 1 In 2.75
S: 0.7500 0.5953 0.9260  3 In 2.53-2.81
S: 0.7500 0.0536 0.1305  2 In 2.50
Tl: 0.2500 0.6246 0.7847  7 S 3.16-3.50
S: 0.7500 0.3037 0.7652  3 In 2.54-2.62
In: 0.2500 0.2330 0.6852  3 S 2.54-2.58, 1 In 2.75
S: 0.2500 0.4657 0.5867  4 In 2.58-2.66
In: 0.7500 0.3047 0.0044  3 S 2.53-2.81, 1 In 2.80
S: 0.7500 0.1632 0.5049  3 In 2.53-2.64

2.
DFT (r²SCAN) results for a relaxed TmH3 crystal.

a b c (Å): 6.1722 6.1722 6.4502
angles (deg): 90.00 90.00 120.00
Closest atoms and distances in Å follow each position.
Atoms (fractional coordinates):
Tm: 0.6626 0.6626 0.2500  9 H 2.08-2.27
H: 0.6472 0.6797 0.9100  3 H 2.09-2.33, 3 Tm 2.19-2.27
H: 0.3203 0.3528 0.4100  3 H 2.09-2.33, 3 Tm 2.19-2.27
Tm: 0.0000 0.6626 0.7500  9 H 2.08-2.27
H: 0.3528 0.3203 0.0900  3 H 2.09-2.33, 3 Tm 2.19-2.27
H: 0.9674 0.3203 0.5900  3 H 2.09-2.33, 3 Tm 2.19-2.27
H: 0.9674 0.6472 0.0900  3 H 2.09-2.33, 3 Tm 2.19-2.27
H: 0.3333 0.6667 0.1879  3 Tm 2.08, 3 H 2.29
H: 0.0326 0.3528 0.9100  3 H 2.09-2.33, 3 Tm 2.19-2.27
H: 0.6667 0.3333 0.8121  3 Tm 2.08, 3 H 2.29
H: 0.3333 0.6667 0.6879  3 Tm 2.08, 3 H 2.29
H: 0.3528 0.0326 0.5900  3 H 2.09-2.33, 3 Tm 2.19-2.27
Tm: 0.3374 0.3374 0.7500  9 H 2.08-2.27
Tm: 0.6626 0.0000 0.7500  9 H 2.08-2.27
H: 0.3203 0.9674 0.9100  3 H 2.09-2.33, 3 Tm 2.19-2.27
H: 0.6472 0.9674 0.4100  3 H 2.09-2.33, 3 Tm 2.19-2.27
H: 0.6797 0.6472 0.5900  3 H 2.09-2.33, 3 Tm 2.19-2.27
H: 0.6797 0.0326 0.0900  3 H 2.09-2.33, 3 Tm 2.19-2.27
H: 0.0000 0.0000 0.2500  3 Tm 2.08, 6 H 2.33
Tm: 0.3374 0.0000 0.2500  9 H 2.08-2.27
Tm: 0.0000 0.3374 0.2500  9 H 2.08-2.27
H: 0.0326 0.6797 0.4100  3 H 2.09-2.33, 3 Tm 2.19-2.27
H: 0.6667 0.3333 0.3121  3 Tm 2.08, 3 H 2.29
H: 0.0000 0.0000 0.7500  3 Tm 2.08, 6 H 2.33

3.
DFT (r²SCAN) results for a relaxed La5Mg crystal.

a b c (Å): 6.9043 6.9043 6.9043
angles (deg): 55.69 55.69 55.69
Closest atoms and distances in Å follow each position.
Atoms (fractional coordinates):
La: 0.8475 0.8475 0.8475  9 La 3.62-3.76, 3 Mg 3.73
La: 0.1525 0.1525 0.1525  9 La 3.62-3.76, 3 Mg 3.73
Mg: 0.5000 0.5000 0.5000  12 La 3.54-3.73
La: 0.0000 0.6196 0.3804  8 La 3.49-3.74, 2 Mg 3.54
La: 0.3804 0.0000 0.6196  8 La 3.49-3.74, 2 Mg 3.54
La: 0.6196 0.3804 0.0000  8 La 3.49-3.74, 2 Mg 3.54

Number 1: ΔE_f -0.692 eV per atom, total DFT energy (no corrections) -18.549 eV/atom, magnetic moment 0.0 μB/cell. Number 2: ΔE_f -0.723 eV per atom, total DFT energy (no corrections) -12.095 eV/atom, magnetic moment 0.0 μB/cell. Number 3: ΔE_f -0.032 eV per atom, total DFT energy (no corrections) -25.514 eV/atom, magnetic moment 0.0 μB/cell.